## P
The following is a PBE calculation of a relaxed structure of EuH3O3, from the Materials Project database.

extended XYZ file:
```
14
Lattice="6.428 0.000 0.000 -3.214 5.567 0.000 0.000 0.000 3.691" Properties=species:S:1:pos:R:3 pbc="T T T"
Eu 0.000 3.711 0.923
Eu 3.214 1.855 2.768
H -1.889 4.783 2.768
H 0.016 1.539 2.768
H 1.341 0.756 0.923
H 1.873 4.810 2.768
H 3.198 4.027 0.923
H 5.102 0.783 0.923
O -0.720 2.178 2.768
O -0.968 5.101 2.768
O 1.526 1.713 0.923
O 1.688 3.854 2.768
O 4.182 0.465 0.923
O 3.934 3.389 0.923
```



## Q
The following is a PBE calculation of a relaxed structure of EuH3O3, from the Materials Project database.

extended XYZ file:
```
14
Lattice="6.477 0.000 0.000 0.000 3.679 0.000 -3.023 0.000 5.770" Properties=species:S:1:pos:R:3 pbc="T T T"
Eu 0.026 0.920 1.862
Eu 3.428 2.759 3.909
H -1.144 0.920 4.932
H 1.910 2.759 0.807
H 0.299 2.759 3.924
H 3.155 0.920 1.846
H 1.544 0.920 4.963
H 4.598 2.759 0.838
O -2.059 0.920 5.266
O -0.543 2.759 3.428
O 1.705 2.759 1.760
O 1.749 0.920 4.010
O 3.997 0.920 2.342
O 5.513 2.759 0.504
```



Winner for stability: P